## MgSiO3 (PBE-GGA)

Data for a geometry-optimized MgSiO3 structure.

Computed properties:
Its uncorrected energy is -35.9 eV/f.u. Its MP2020-corrected energy is -7.592 eV/atom. For the mass density, the calculation gives 3.2 Mg/m³. The energy of formation from the pure elements comes out at -3.22 eV per atom.

```
MgSiO3
1.0
4.7596 -4.4764 0.0000
4.7596 4.4764 0.0000
-1.1359 0.0000 4.9308
Mg Si O
4 4 12
direct
0.0970 0.9030 0.7500
0.2704 0.7296 0.2500
0.7296 0.2704 0.7500
0.9030 0.0970 0.2500
0.2073 0.3877 0.7172
0.3877 0.2073 0.2172
0.6123 0.7927 0.7828
0.7927 0.6123 0.2828
0.0292 0.2130 0.6417
0.1457 0.6130 0.8681
0.2130 0.0292 0.1417
0.2949 0.4083 0.4263
0.3870 0.8543 0.6319
0.4083 0.2949 0.9263
0.5917 0.7051 0.0737
0.6130 0.1457 0.3681
0.7051 0.5917 0.5737
0.7870 0.9708 0.8583
0.8543 0.3870 0.1319
0.9708 0.7870 0.3583
```

***

## MgSiO3 (PBE-GGA)

Data for a geometry-optimized MgSiO3 structure.

Computed properties:
Its uncorrected energy is -36.0 eV/f.u. Its MP2020-corrected energy is -7.603 eV/atom. For the mass density, the calculation gives 3.1 Mg/m³. The energy of formation from the pure elements comes out at -3.23 eV per atom.

```
MgSiO3
1.0
5.2458 0.0000 0.0000
0.0000 18.4495 0.0000
0.0000 0.0000 8.9454
Mg Si O
16 16 48
direct
0.1305 0.1241 0.1528
0.1305 0.3759 0.6528
0.1365 0.1239 0.5112
0.1365 0.3761 0.0112
0.3635 0.6239 0.5112
0.3635 0.8761 0.0112
0.3695 0.6241 0.1528
0.3695 0.8759 0.6528
0.6305 0.1241 0.3472
0.6305 0.3759 0.8472
0.6365 0.1239 0.9888
0.6365 0.3761 0.4888
0.8635 0.6239 0.9888
0.8635 0.8761 0.4888
0.8695 0.6241 0.3472
0.8695 0.8759 0.8472
0.0555 0.7281 0.6590
0.0555 0.7719 0.1590
0.2044 0.0258 0.8373
0.2044 0.4742 0.3373
0.2956 0.5258 0.8373
0.2956 0.9742 0.3373
0.4445 0.2281 0.6590
0.4445 0.2719 0.1590
0.5555 0.7281 0.8410
0.5555 0.7719 0.3410
0.7044 0.0258 0.6627
0.7044 0.4742 0.1627
0.7956 0.5258 0.6627
0.7956 0.9742 0.1627
0.9445 0.2281 0.8410
0.9445 0.2719 0.3410
0.0391 0.6836 0.1601
0.0391 0.8164 0.6601
0.0474 0.6884 0.4993
0.0474 0.8116 0.9993
0.0994 0.5515 0.6968
0.0994 0.9485 0.1968
0.1618 0.1971 0.7213
0.1618 0.3029 0.2213
0.1907 0.5675 0.9826
0.1907 0.9325 0.4826
0.2035 0.5630 0.3408
0.2035 0.9370 0.8408
0.2965 0.0630 0.3408
0.2965 0.4370 0.8408
0.3093 0.0675 0.9826
0.3093 0.4325 0.4826
0.3382 0.6971 0.7213
0.3382 0.8029 0.2213
0.4006 0.0515 0.6968
0.4006 0.4485 0.1968
0.4526 0.1884 0.4993
0.4526 0.3116 0.9993
0.4609 0.1836 0.1601
0.4609 0.3164 0.6601
0.5391 0.6836 0.3399
0.5391 0.8164 0.8399
0.5474 0.6884 0.0007
0.5474 0.8116 0.5007
0.5994 0.5515 0.8032
0.5994 0.9485 0.3032
0.6618 0.1971 0.7787
0.6618 0.3029 0.2787
0.6907 0.5675 0.5174
0.6907 0.9325 0.0174
0.7035 0.5630 0.1592
0.7035 0.9370 0.6592
0.7965 0.0630 0.1592
0.7965 0.4370 0.6592
0.8093 0.0675 0.5174
0.8093 0.4325 0.0174
0.8382 0.6971 0.7787
0.8382 0.8029 0.2787
0.9006 0.0515 0.8032
0.9006 0.4485 0.3032
0.9526 0.1884 0.0007
0.9526 0.3116 0.5007
0.9609 0.1836 0.3399
0.9609 0.3164 0.8399
```

***

## MgSiO3 (PBE-GGA)

Data for a geometry-optimized MgSiO3 structure.

Computed properties:
Its uncorrected energy is -35.5 eV/f.u. Its MP2020-corrected energy is -7.508 eV/atom. For the mass density, the calculation gives 3.4 Mg/m³. The energy of formation from the pure elements comes out at -3.13 eV per atom.

```
MgSiO3
1.0
8.2197 -5.7803 0.0000
8.2197 5.7803 0.0000
-0.0078 0.0000 16.3965
Mg Si O
32 32 96
direct
0.0000 0.0000 0.0000
0.9998 0.4979 0.7494
0.0111 0.5094 0.2511
0.0488 0.8124 0.3080
0.0855 0.3078 0.9312
0.1813 0.4385 0.5616
0.1876 0.9512 0.6920
0.2468 0.0040 0.8771
0.2493 0.5003 0.3780
0.2499 0.5024 0.8762
0.3002 0.5894 0.1861
0.3233 0.0429 0.0557
0.4106 0.6998 0.8139
0.4397 0.1934 0.4378
0.4906 0.9889 0.7489
0.4921 0.5079 0.5000
0.4955 0.5045 0.0000
0.4976 0.7501 0.1238
0.4997 0.7507 0.6220
0.5021 0.0002 0.2506
0.5448 0.3216 0.8087
0.5615 0.8187 0.4384
0.6784 0.4552 0.1913
0.6922 0.9145 0.0688
0.7448 0.0029 0.3739
0.8066 0.5603 0.5622
0.8139 0.0749 0.6834
0.9251 0.1861 0.3166
0.9571 0.6767 0.9443
0.9931 0.0069 0.5000
0.9960 0.7532 0.1229
0.9971 0.2552 0.6261
0.0535 0.8157 0.8081
0.0585 0.3152 0.4368
0.1843 0.9465 0.1919
0.1855 0.4287 0.0689
0.2435 0.7565 0.5000
0.2444 0.0039 0.3758
0.2482 0.7518 0.0000
0.2490 0.2482 0.2477
0.2492 0.2518 0.7455
0.3081 0.5673 0.6847
0.3132 0.0660 0.5611
0.4327 0.6919 0.3153
0.4459 0.1894 0.9432
0.4990 0.2525 0.6261
0.4997 0.2487 0.1259
0.5565 0.3180 0.3111
0.5713 0.8145 0.9311
0.6820 0.4435 0.6889
0.6848 0.9415 0.5632
0.7448 0.2552 0.5000
0.7474 0.0047 0.8728
0.7474 0.2526 0.0000
0.7475 0.5010 0.3739
0.7482 0.7508 0.2545
0.7513 0.5003 0.8741
0.7518 0.7510 0.7523
0.8114 0.0724 0.1822
0.8106 0.5541 0.0568
0.9276 0.1886 0.8178
0.9340 0.6868 0.4389
0.9953 0.2526 0.1272
0.9961 0.7556 0.6242
0.0089 0.8598 0.7105
0.0382 0.1266 0.8930
0.0430 0.6041 0.3681
0.0691 0.6532 0.8320
0.0793 0.7699 0.0097
0.0812 0.2695 0.2218
0.0890 0.1456 0.4113
0.0918 0.0681 0.1254
0.1157 0.8234 0.5698
0.1191 0.5464 0.1396
0.1342 0.2849 0.0701
0.1379 0.4829 0.9759
0.1381 0.6009 0.6590
0.1402 0.9911 0.2895
0.1442 0.3326 0.6710
0.1442 0.8028 0.1874
0.1484 0.0834 0.5793
0.1744 0.3571 0.8218
0.1766 0.8843 0.4302
0.1972 0.8558 0.8126
0.2104 0.3412 0.4401
0.2301 0.9207 0.9903
0.2327 0.4072 0.2730
0.2587 0.5907 0.4872
0.2683 0.0870 0.7652
0.2851 0.6587 0.3170
0.2987 0.1543 0.9412
0.3087 0.1237 0.3188
0.3319 0.6475 0.9246
0.3413 0.7149 0.6830
0.3468 0.9309 0.1680
0.3490 0.0258 0.4618
0.3525 0.6681 0.0754
0.3584 0.3906 0.0851
0.3626 0.5080 0.7757
0.3717 0.2048 0.5656
0.3768 0.1834 0.1789
0.3825 0.4352 0.6181
0.3959 0.9570 0.6319
0.3991 0.8619 0.3410
0.4093 0.7413 0.5128
0.4211 0.2299 0.7231
0.4322 0.3517 0.9196
0.4536 0.8809 0.8604
0.4574 0.3941 0.3883
0.4920 0.6374 0.2243
0.4968 0.1365 0.0391
0.5142 0.3601 0.2124
0.5171 0.8621 0.0241
0.5611 0.1041 0.8704
0.5648 0.6175 0.3819
0.5701 0.1534 0.3278
0.5787 0.2800 0.5309
0.5928 0.7673 0.7270
0.6059 0.5426 0.6117
0.6094 0.6416 0.9149
0.6160 0.0687 0.6343
0.6220 0.3112 0.0697
0.6242 0.0066 0.4743
0.6301 0.2997 0.6864
0.6390 0.1043 0.1672
0.6399 0.4858 0.7876
0.6429 0.8256 0.1782
0.6483 0.5678 0.0804
0.6588 0.7896 0.5599
0.6674 0.8558 0.3290
0.6888 0.3780 0.9303
0.7003 0.3699 0.3136
0.7151 0.8658 0.9299
0.7200 0.4213 0.4691
0.7305 0.9188 0.7782
0.7698 0.0923 0.9653
0.7701 0.5789 0.2769
0.7777 0.1467 0.8151
0.7952 0.6283 0.4344
0.8166 0.6232 0.8211
0.8184 0.1484 0.4251
0.8457 0.7013 0.0588
0.8466 0.4299 0.6722
0.8516 0.1816 0.5749
0.8533 0.2223 0.1849
0.8544 0.9110 0.5887
0.8639 0.0149 0.2740
0.8635 0.5032 0.9609
0.8734 0.9618 0.1070
0.8763 0.6913 0.6812
0.8957 0.3610 0.8328
0.8959 0.4389 0.1296
0.9077 0.2302 0.0347
0.9130 0.7317 0.2348
0.9166 0.8516 0.4207
0.9313 0.3840 0.3657
0.9319 0.9082 0.8746
0.9742 0.6510 0.5382
0.9851 0.1361 0.7260
0.9934 0.3758 0.5257
```

***

## Mg2SiO4 (PBE-GGA)

Data for a geometry-optimized Mg2SiO4 structure.

Computed properties:
Its uncorrected energy is -47.9 eV/f.u. Its MP2020-corrected energy is -7.236 eV/atom. For the mass density, the calculation gives 2.8 Mg/m³. As for the energy above the most stable polymorph in this dataset: 31 kJ/mol of formula units. The energy of formation from the pure elements comes out at -3.18 eV per atom.

```
Mg2SiO4
1.0
-3.5211 3.5211 3.3157
3.5211 -3.5211 3.3157
3.5211 3.5211 -3.3157
Mg Si O
4 2 8
direct
0.0334 0.6250 0.9084
0.3750 0.2834 0.4084
0.7166 0.1250 0.0916
0.8750 0.9666 0.5916
0.2500 0.7500 0.5000
0.5000 0.5000 0.0000
0.1010 0.8031 0.6852
0.1178 0.4157 0.3148
0.1657 0.3678 0.8148
0.1969 0.8822 0.2979
0.5531 0.3510 0.1852
0.5843 0.8990 0.7021
0.6322 0.4469 0.7979
0.6490 0.8343 0.2021
```

***

## MgSiO3 (PBE-GGA)

Data for a geometry-optimized MgSiO3 structure.

Computed properties:
Its uncorrected energy is -35.4 eV/f.u. Its MP2020-corrected energy is -7.494 eV/atom. For the mass density, the calculation gives 3.7 Mg/m³. The energy of formation from the pure elements comes out at -3.12 eV per atom.

```
MgSiO3
1.0
2.3934 1.3818 4.5765
-2.3934 1.3818 4.5765
0.0000 -2.7636 4.5765
Mg Si O
2 2 6
direct
0.1396 0.1396 0.1396
0.8604 0.8604 0.8604
0.3421 0.3421 0.3421
0.6579 0.6579 0.6579
0.0621 0.4551 0.7034
0.2966 0.9379 0.5449
0.4551 0.7034 0.0621
0.5449 0.2966 0.9379
0.7034 0.0621 0.4551
0.9379 0.5449 0.2966
```

***

## MgSiO3 (PBE-GGA)

Data for a geometry-optimized MgSiO3 structure.

Computed properties:
Its uncorrected energy is -33.7 eV/f.u. Its MP2020-corrected energy is -7.144 eV/atom. For the mass density, the calculation gives 3.8 Mg/m³. The energy of formation from the pure elements comes out at -2.77 eV per atom.

```
MgSiO3
1.0
3.5272 0.0000 0.0000
0.0000 3.5272 0.0000
0.0000 0.0000 3.5272
Mg Si O
1 1 3
direct
0.0000 0.0000 0.0000
0.5000 0.5000 0.5000
0.0000 0.5000 0.5000
0.5000 0.0000 0.5000
0.5000 0.5000 0.0000
```

***

## Mg3Si2O9 (PBE-GGA)

Data for a geometry-optimized Mg3Si2O9 structure.

Computed properties:
Its uncorrected energy is -88.6 eV/f.u. Its MP2020-corrected energy is -6.629 eV/atom. For the mass density, the calculation gives 2.4 Mg/m³. As for the energy above the most stable polymorph in this dataset: 179 kJ/mol of formula units. The energy of formation from the pure elements comes out at -2.33 eV per atom.

```
Mg3Si2O9
1.0
5.4303 0.0000 0.0000
2.6617 4.7455 0.0000
0.3036 0.5478 29.2790
Mg Si O
12 8 36
direct
0.0000 0.0000 0.0000
0.0014 0.9928 0.5014
0.3182 0.0062 0.7518
0.3289 0.6807 0.2518
0.3313 0.3328 0.0028
0.3350 0.3285 0.5006
0.6511 0.0042 0.2513
0.6651 0.6653 0.0025
0.6687 0.6608 0.5013
0.6944 0.3162 0.7517
0.9418 0.6924 0.7520
0.9756 0.3254 0.2513
0.3237 0.0006 0.1565
0.6469 0.6713 0.3465
0.6488 0.6727 0.8473
0.6541 0.0008 0.6562
0.6575 0.3364 0.1565
0.9805 0.0059 0.3464
0.9848 0.0072 0.8473
0.9892 0.3362 0.6563
0.0030 0.6540 0.2235
0.0218 0.6363 0.5314
0.3007 0.3526 0.2792
0.3137 0.6868 0.4700
0.3136 0.8342 0.3641
0.3174 0.4128 0.7734
0.3168 0.8423 0.8650
0.3187 0.5950 0.7304
0.3216 0.1653 0.6389
0.3268 0.9944 0.2128
0.3291 0.6483 0.0325
0.3374 0.0203 0.9712
0.3541 0.9719 0.5310
0.4871 0.6704 0.1386
0.4933 0.1680 0.1386
0.6428 0.6785 0.2902
0.6472 0.6859 0.7911
0.6475 0.0176 0.4701
0.6509 0.9908 0.7126
0.6604 0.3314 0.2128
0.6638 0.3553 0.9712
0.6691 0.9775 0.0323
0.6872 0.3049 0.5310
0.8111 0.8391 0.3648
0.8139 0.3383 0.8645
0.8184 0.3367 0.3640
0.8193 0.1723 0.6389
0.8198 0.8356 0.8647
0.8254 0.6700 0.6388
0.9763 0.0115 0.2902
0.9800 0.3511 0.4705
0.9872 0.0182 0.7909
0.9878 0.3253 0.7126
0.9908 0.1720 0.1389
0.9968 0.3078 0.0326
0.9983 0.6836 0.9714
```

***

## Mg3Si2O9 (PBE-GGA)

Data for a geometry-optimized Mg3Si2O9 structure.

Computed properties:
Its uncorrected energy is -88.3 eV/f.u. Its MP2020-corrected energy is -6.750 eV/atom. For the mass density, the calculation gives 2.4 Mg/m³. As for the energy above the most stable polymorph in this dataset: 17 kJ/mol of formula units. The energy of formation from the pure elements comes out at -2.45 eV per atom.

```
Mg3Si2O9
1.0
5.4148 0.0000 0.0000
-2.7074 4.6894 0.0000
0.0000 0.0000 7.4106
Mg Si O
3 2 9
direct
0.0000 0.3559 0.0000
0.3559 0.0000 0.0000
0.6441 0.6441 0.0000
0.3333 0.6667 0.6181
0.6667 0.3333 0.6181
0.0000 0.0000 0.8948
0.0000 0.4992 0.5475
0.0000 0.6941 0.1225
0.3059 0.3059 0.1225
0.3333 0.6667 0.8410
0.4992 0.0000 0.5475
0.5008 0.5008 0.5475
0.6667 0.3333 0.8410
0.6941 0.0000 0.1225
```